Record 1
Entry from the Materials Project database: a relaxed structure of Mg2SiO4 (GGA-PBE).

Cell lengths 6.149, 6.149, 4.762 Å; angles 90.00, 90.00, 120.00 degrees
Sites, in units of the cell vectors:
O: 0.808 0.617 0.742
O: 0.808 0.192 0.742
O: 0.192 0.383 0.258
O: 0.333 0.667 0.761
O: 0.192 0.808 0.258
O: 0.617 0.808 0.258
O: 0.383 0.192 0.742
O: 0.667 0.333 0.239
Mg: 0.500 0.000 0.500
Mg: 0.000 0.500 0.500
Mg: 0.000 0.000 0.500
Mg: 0.500 0.500 0.500
Si: 0.333 0.667 0.100
Si: 0.667 0.333 0.900

Output
As for the size of the total moment: 0.00 μB per formula unit. The value obtained for the energy of formation is -21.0 eV/f.u. The value obtained for the energy above the most stable polymorph in this dataset is 223 meV per atom.

=====

Record 2
Entry from the Materials Project database: a relaxed structure of Mg2SiO4 (GGA-PBE).

Cell lengths 4.955, 4.955, 9.471 Å; angles 90.00, 90.00, 147.17 degrees
Sites, in units of the cell vectors:
Mg: 0.608 0.392 0.685
Mg: 0.392 0.608 0.185
Mg: 0.140 0.860 0.354
Mg: 0.860 0.140 0.854
O: 0.505 0.495 0.938
O: 0.955 0.045 0.663
O: 0.747 0.253 0.045
O: 0.204 0.796 0.827
O: 0.045 0.955 0.163
O: 0.253 0.747 0.545
O: 0.796 0.204 0.327
O: 0.495 0.505 0.438
Si: 0.873 0.127 0.499
Si: 0.127 0.873 0.999

Output
As for the size of the total moment: 0.00 μB per formula unit. The value obtained for the energy of formation is -21.1 eV/f.u. The value obtained for the energy above the most stable polymorph in this dataset is 213 meV per atom.